Ba2MgB6O12: relaxed, GGA-PBE.

Unit cell a=7.0275 b=7.0275 c=7.0275 alpha=61.15 beta=61.15 gamma=61.15
With the nearest neighbours (Å) after each atom.
Positions (direct):
Ba 0.7910 0.7910 0.7910  9 O 2.78-2.94
Ba 0.2090 0.2090 0.2090  9 O 2.78-2.94
Mg 0.0000 0.0000 0.0000  6 O 2.15
B 0.6354 0.3550 0.2442  3 O 1.33-1.42
B 0.3550 0.2442 0.6354  3 O 1.33-1.42
B 0.2442 0.6354 0.3550  3 O 1.33-1.42
B 0.3646 0.6450 0.7558  3 O 1.33-1.42
B 0.6450 0.7558 0.3646  3 O 1.33-1.42
B 0.7558 0.3646 0.6450  3 O 1.33-1.42
O 0.0862 0.8408 0.3104  1 B 1.33
O 0.8408 0.3104 0.0862  1 B 1.33
O 0.3104 0.0862 0.8408  1 B 1.33
O 0.9138 0.1592 0.6896  1 B 1.33
O 0.1592 0.6896 0.9138  1 B 1.33
O 0.6896 0.9138 0.1592  1 B 1.33
O 0.4655 0.5729 0.1965  2 B 1.41-1.42
O 0.5729 0.1965 0.4655  2 B 1.41-1.42
O 0.1965 0.4655 0.5729  2 B 1.41-1.42
O 0.5345 0.4271 0.8035  2 B 1.41-1.42
O 0.4271 0.8035 0.5345  2 B 1.41-1.42
O 0.8035 0.5345 0.4271  2 B 1.41-1.42

Output
The value obtained for the formation energy is -294.61 kJ per mole of atoms. The energy is -0.5627 Ry/atom.